The following is a PBE calculation of a geometry-optimized HfTaRu2 structure, from the Materials Project.

```
HfTaRu2
1.0
0.000 3.212 3.212
3.212 0.000 3.212
3.212 3.212 0.000
Hf Ta Ru
1 1 2
Cartesian
3.212 3.212 3.212 Hf
0.000 0.000 0.000 Ta
1.606 1.606 1.606 Ru
4.818 4.818 4.818 Ru
```

Summary:
Total energy: -42.6 eV per formula unit
Symmetry: Fm-3m
Energy of formation from the pure elements: -556 meV per atom

***

The following is a PBE calculation of a geometry-optimized NaCaAlSi2O7 structure, from the Materials Project.

```
NaCaAlSi2O7
1.0
12.720 0.000 0.000
0.000 7.759 0.000
0.000 0.000 7.759
Na Ca Al Si O
4 4 4 8 28
Cartesian
3.975 1.034 4.913 Na
3.975 6.725 2.845 Na
8.745 4.913 6.725 Na
8.745 2.845 1.034 Na
2.692 2.687 1.192 Ca
2.692 5.071 6.567 Ca
10.028 1.192 5.071 Ca
10.028 6.567 2.687 Ca
0.000 0.000 0.000 Al
0.000 3.879 3.879 Al
6.360 0.000 0.000 Al
6.360 3.879 3.879 Al
7.726 1.075 2.804 Si
7.726 6.683 4.955 Si
11.362 2.828 6.707 Si
11.362 4.931 1.051 Si
1.358 1.051 2.828 Si
1.358 6.707 4.931 Si
4.994 2.804 6.683 Si
4.994 4.955 1.075 Si
0.620 0.000 3.879 O
0.953 6.968 6.505 O
0.953 5.133 4.670 O
0.953 0.791 1.253 O
0.953 2.626 3.088 O
3.355 2.899 6.778 O
3.355 4.860 0.981 O
2.986 1.051 2.828 O
2.986 6.708 4.930 O
5.389 6.488 0.722 O
5.389 4.601 2.609 O
5.389 3.158 5.150 O
5.389 1.270 7.037 O
5.689 3.879 0.000 O
7.031 0.000 3.879 O
7.331 7.037 6.488 O
7.331 5.150 4.601 O
7.331 0.722 1.270 O
7.331 2.609 3.158 O
9.734 2.828 6.708 O
9.734 4.930 1.051 O
9.364 0.981 2.899 O
9.364 6.778 4.860 O
11.767 6.505 0.791 O
11.767 4.670 2.626 O
11.767 3.088 5.133 O
11.767 1.253 6.968 O
12.100 3.879 0.000 O
```

Summary:
Total energy: -85.3 eV per formula unit
Symmetry: P-42_1m
Magnetic moment: 0.000 μB per atom
Energy of formation from the pure elements: -3126 meV per atom
MP2020-corrected energy: -360.278 eV per cell
Energy relative to the lowest polymorph listed for this composition: 135.2 meV/atom

***

The following is a PBE calculation of a geometry-optimized V2B2Ir structure, from the Materials Project.

```
V2B2Ir
1.0
0.000 0.000 -3.072
0.000 -7.213 0.000
-9.293 0.000 0.000
V B Ir
8 8 4
Cartesian
-1.236 -5.862 -1.536 V
-8.057 -1.350 -1.536 V
-5.883 -4.957 0.000 V
-3.410 -2.256 0.000 V
-8.000 -4.141 -1.536 V
-1.293 -3.071 -1.536 V
-3.354 -6.678 0.000 V
-5.940 -0.535 0.000 V
-4.275 -0.819 -1.536 B
-5.019 -6.393 -1.536 B
-8.922 -2.787 0.000 B
-0.372 -4.426 0.000 B
-2.496 -0.882 -1.536 B
-6.797 -6.331 -1.536 B
-7.143 -2.724 0.000 B
-2.150 -4.488 0.000 B
-3.677 -4.520 -1.536 Ir
-5.616 -2.692 -1.536 Ir
-8.324 -6.299 0.000 Ir
-0.970 -0.914 0.000 Ir
```

Summary:
Total energy: -43.9 eV per formula unit
Symmetry: Pnnm
Magnetic moment: 0.000 μB per atom
Energy of formation from the pure elements: -698 meV per atom

***

The following is a PBE calculation of a geometry-optimized Li3TiN2 structure, from the Materials Project.

```
Li3TiN2
1.0
-0.322 -5.520 -6.663
6.025 -0.193 3.533
-6.691 4.629 11.663
Li Ti N
12 4 8
Cartesian
0.556 1.603 6.049 Li
-5.907 4.087 10.296 Li
2.124 0.518 3.316 Li
-0.784 0.543 1.367 Li
-0.318 -0.389 4.306 Li
2.676 -3.010 -1.605 Li
-1.658 -1.449 -0.376 Li
-5.354 0.559 5.376 Li
-0.048 -2.923 -3.202 Li
2.406 -0.476 5.904 Li
-2.054 0.453 7.312 Li
1.066 -1.537 1.222 Li
-1.246 2.850 9.190 Ti
-4.105 2.840 7.155 Ti
-2.765 3.900 11.837 Ti
-2.586 1.789 4.508 Ti
-1.130 1.087 8.896 N
-0.865 -1.474 1.395 N
-4.807 1.644 8.287 N
1.483 -1.111 4.320 N
-4.524 4.227 11.759 N
-1.824 4.140 13.342 N
2.499 1.356 6.536 N
-0.827 1.463 4.586 N
```

Summary:
Total energy: -32.7 eV per formula unit
Symmetry: I4_1/amd
Magnetic moment: 0.000 μB per atom
Energy of formation from the pure elements: -524 meV per atom
MP2020-corrected energy: -133.753 eV per cell
Energy relative to the lowest polymorph listed for this composition: 428.2 meV/atom

***

The following is a PBE calculation of a geometry-optimized Th2BiN2 structure, from the Materials Project.

```
Th2BiN2
1.0
7.476 -0.983 1.257
6.271 4.318 -0.683
-7.210 -0.750 2.428
Th Bi N
2 1 2
Cartesian
4.552 1.104 0.190 Th
9.196 2.231 0.384 Th
0.000 0.000 0.000 Bi
2.968 2.618 1.016 N
3.570 -0.032 1.986 N
```

Summary:
Total energy: -43.0 eV per formula unit
Symmetry: I4/mmm
Energy of formation from the pure elements: -1659 meV per atom
MP2020-corrected energy: -43.685 eV per cell

***

The following is a PBE calculation of a geometry-optimized AlH6BrO4 structure, from the Materials Project.

```
AlH6BrO4
1.0
0.023 0.000 -5.246
7.540 0.000 0.165
-3.782 -6.786 2.540
Al H Br O
2 12 2 8
Cartesian
3.764 -6.117 1.394 Al
0.018 -0.669 -3.934 Al
1.842 -0.979 -2.125 H
5.709 -0.979 -0.333 H
1.939 -5.807 -0.415 H
-1.928 -5.807 -2.208 H
1.854 -4.812 -2.688 H
-1.842 -4.812 0.065 H
1.928 -1.974 0.148 H
5.624 -1.974 -2.606 H
3.082 -3.832 -2.745 H
4.470 -3.832 0.287 H
0.700 -2.954 0.204 H
-0.688 -2.954 -2.827 H
3.776 -2.155 -1.229 Br
0.006 -4.631 -1.311 Br
1.028 -0.511 -2.373 O
6.524 -0.511 -0.085 O
2.754 -6.275 -0.167 O
-2.742 -6.275 -2.456 O
2.666 -4.596 -3.219 O
4.886 -4.596 0.761 O
1.116 -2.190 0.679 O
-1.104 -2.190 -3.301 O
```

Summary:
Total energy: -62.1 eV per formula unit
Symmetry: C2/c
Magnetic moment: 0.000 μB per atom
Energy of formation from the pure elements: -1611 meV per atom
MP2020-corrected energy: -129.736 eV per cell

***

Copy entry 3 word for word.
The following is a PBE calculation of a geometry-optimized V2B2Ir structure, from the Materials Project.

```
V2B2Ir
1.0
0.000 0.000 -3.072
0.000 -7.213 0.000
-9.293 0.000 0.000
V B Ir
8 8 4
Cartesian
-1.236 -5.862 -1.536 V
-8.057 -1.350 -1.536 V
-5.883 -4.957 0.000 V
-3.410 -2.256 0.000 V
-8.000 -4.141 -1.536 V
-1.293 -3.071 -1.536 V
-3.354 -6.678 0.000 V
-5.940 -0.535 0.000 V
-4.275 -0.819 -1.536 B
-5.019 -6.393 -1.536 B
-8.922 -2.787 0.000 B
-0.372 -4.426 0.000 B
-2.496 -0.882 -1.536 B
-6.797 -6.331 -1.536 B
-7.143 -2.724 0.000 B
-2.150 -4.488 0.000 B
-3.677 -4.520 -1.536 Ir
-5.616 -2.692 -1.536 Ir
-8.324 -6.299 0.000 Ir
-0.970 -0.914 0.000 Ir
```

Summary:
Total energy: -43.9 eV per formula unit
Symmetry: Pnnm
Magnetic moment: 0.000 μB per atom
Energy of formation from the pure elements: -698 meV per atom